# FeCuP2O8

A relaxed structure of FeCuP2O8 (GGA+U, the Materials Project database).

- DFT formation energy (eV/atom) = -2.038
- calculated total energy (eV per atom) = -6.64
- E (MP2020) (Ry/atom) = -0.5355

Lattice parameters (Å, degrees): 8.502 8.502 8.502 60.66 60.66 60.66
Fractional coordinates of all 36 atoms:
1 Fe 0.000 0.000 0.000
2 Fe 0.212 0.212 0.212
3 Fe 0.501 0.501 0.501
4 Cu 0.356 0.356 0.356
5 Cu 0.713 0.713 0.713
6 Cu 0.856 0.856 0.856
7 P 0.106 0.400 0.812
8 P 0.313 0.901 0.607
9 P 0.400 0.812 0.106
10 P 0.607 0.313 0.901
11 P 0.812 0.106 0.400
12 P 0.901 0.607 0.313
13 O 0.042 0.243 0.851
14 O 0.100 0.445 0.295
15 O 0.114 0.913 0.769
16 O 0.174 0.360 0.968
17 O 0.243 0.851 0.042
18 O 0.268 0.416 0.613
19 O 0.295 0.100 0.445
20 O 0.353 0.743 0.542
21 O 0.360 0.968 0.174
22 O 0.416 0.613 0.268
23 O 0.445 0.295 0.100
24 O 0.469 0.873 0.669
25 O 0.542 0.353 0.743
26 O 0.598 0.804 0.943
27 O 0.613 0.268 0.416
28 O 0.669 0.469 0.873
29 O 0.743 0.542 0.353
30 O 0.769 0.114 0.913
31 O 0.804 0.943 0.598
32 O 0.851 0.042 0.243
33 O 0.873 0.669 0.469
34 O 0.913 0.769 0.114
35 O 0.943 0.598 0.804
36 O 0.968 0.174 0.360